Entry from the Materials Project database: a relaxed structure of AsPd2 (meta-GGA r2SCAN).

- VASP energy (eV for the cell shown) = -247.0

a b c (Å): 8.6067 8.6067 6.5683
angles (deg): 90.00 90.00 157.21
Sites, in units of the cell vectors:
As  0.0586  0.9414  0.5000
As  0.2995  0.7005  0.4669
As  0.7005  0.2995  0.9669
As  0.9414  0.0586  0.0000
Pd  0.0834  0.9166  0.8726
Pd  0.1775  0.8225  0.2355
Pd  0.3334  0.6666  0.0858
Pd  0.4593  0.5407  0.7143
Pd  0.5407  0.4593  0.2143
Pd  0.6666  0.3334  0.5858
Pd  0.8225  0.1775  0.7355
Pd  0.9166  0.0834  0.3726

=====

Entry from the Materials Project database: a relaxed structure of NdHg3 (meta-GGA r2SCAN).

- VASP energy (eV for the cell shown) = -358.7

a b c (Å): 6.7724 6.7724 5.0096
angles (deg): 90.00 90.00 120.00
Sites, in units of the cell vectors:
Nd  0.3333  0.6667  0.2500
Nd  0.6667  0.3333  0.7500
Hg  0.1620  0.3240  0.7500
Hg  0.1620  0.8380  0.7500
Hg  0.3240  0.1620  0.2500
Hg  0.6760  0.8380  0.7500
Hg  0.8380  0.1620  0.2500
Hg  0.8380  0.6760  0.2500

=====

Entry from the Materials Project database: a relaxed structure of Ba2Cr5S10 (meta-GGA r2SCAN).

- VASP energy (eV for the cell shown) = -461.7

a b c (Å): 5.9551 6.8284 17.2399
angles (deg): 84.64 87.91 89.98
Sites, in units of the cell vectors:
Ba  0.1421  0.1838  0.2677
Ba  0.2603  0.7634  0.9444
Ba  0.7397  0.2366  0.0556
Ba  0.8579  0.8162  0.7323
Cr  0.0778  0.2880  0.8434
Cr  0.2233  0.3298  0.6718
Cr  0.2564  0.3783  0.4897
Cr  0.2650  0.8753  0.4976
Cr  0.4151  0.7095  0.1661
Cr  0.5849  0.2905  0.8339
Cr  0.7350  0.1247  0.5024
Cr  0.7436  0.6217  0.5103
Cr  0.7767  0.6702  0.3282
Cr  0.9222  0.7120  0.1566
S  0.0807  0.1110  0.5735
S  0.0889  0.6038  0.5776
S  0.1422  0.6838  0.2750
S  0.1754  0.4833  0.1095
S  0.1751  0.9628  0.1094
S  0.3284  0.2639  0.9411
S  0.3351  0.0779  0.7681
S  0.3355  0.5347  0.7686
S  0.4292  0.1410  0.4191
S  0.4431  0.6467  0.4186
S  0.5569  0.3533  0.5814
S  0.5708  0.8590  0.5809
S  0.6645  0.4653  0.2314
S  0.6649  0.9221  0.2319
S  0.6716  0.7361  0.0589
S  0.8249  0.0372  0.8906
S  0.8246  0.5167  0.8905
S  0.8578  0.3162  0.7250
S  0.9111  0.3962  0.4224
S  0.9193  0.8890  0.4265